# CeSe2 PBE-GGA relaxed
data_CeSe2
_chemical_formula_sum 'Ce8 Se16'
_space_group_name_H-M_alt 'P 42/m c m'
_space_group_IT_number 132
_space_group_name_Hall '-P 4c 2c'
_cell_length_a 13.650
_cell_length_b 13.650
_cell_length_c 8.829
_cell_angle_alpha 90.00
_cell_angle_beta 90.00
_cell_angle_gamma 90.00
loop_
_atom_site_label
_atom_site_fract_x
_atom_site_fract_y
_atom_site_fract_z
_atom_site_occupancy
Ce1 0.072 0.314 0.000 1
Se1 0.000 0.225 0.250 1
Se2 0.000 0.500 0.000 1
Se3 0.265 0.265 0.000 1
# E_form: -1.402 eV/atom
# crystal system: tetragonal